[1]
Density functional theory data (PBE-GGA) for a relaxed structure of Na3LaZr3Si3S3O24.

**MP2020-corrected energy**: -288.1 eV per formula unit
**Size of the total moment**: 0.0 μB/f.u.

Unit cell a=9.1911 b=9.2681 c=23.7953 alpha=89.70 beta=90.49 gamma=120.39
Fractional positions:
1 Na 0.3526 0.3567 0.2409
2 Na 0.2898 0.6421 0.6670
3 Na 0.6339 0.6214 0.7569
4 Na 0.6612 0.3422 0.8326
5 S 0.3395 0.9579 0.9166
6 O 0.9882 0.8167 0.8056
7 O 0.1846 0.9726 0.1982
8 O 0.6424 0.5013 0.9222
9 Zr 0.6594 0.3164 0.4805
10 O 0.6919 0.1440 0.0309
11 Zr 0.0166 0.0186 0.6492
12 O 0.5201 0.3743 0.4270
13 Zr 0.3383 0.6577 0.5182
14 O 0.0210 0.7990 0.4174
15 Si 0.9697 0.3307 0.5807
16 O 0.0225 0.8327 0.6941
17 O 0.5443 0.8290 0.7570
18 O 0.8761 0.4949 0.4233
19 Na 0.9944 0.9853 0.0030
20 Zr 0.0070 0.9918 0.8547
21 O 0.3132 0.8556 0.9665
22 Si 0.2877 0.2930 0.7546
23 O 0.1776 0.2046 0.6962
24 S 0.7118 0.9883 0.7535
25 O 0.4584 0.1435 0.2437
26 O 0.9254 0.5403 0.1373
27 O 0.9801 0.8252 0.0898
28 O 0.1803 0.1811 0.8079
29 Zr 0.0130 0.0153 0.1436
30 Si 0.0050 0.3041 0.2524
31 O 0.2128 0.0069 0.2999
32 O 0.6399 0.1501 0.4231
33 O 0.3060 0.4821 0.7584
34 S 0.0381 0.3731 0.9171
35 Na 0.9930 0.0107 0.5007
36 O 0.0248 0.2077 0.9111
37 O 0.1245 0.6364 0.3679
38 O 0.4782 0.3254 0.7528
39 O 0.8256 0.8047 0.5855
40 O 0.9962 0.2113 0.3117
41 O 0.5119 0.6491 0.8574
42 O 0.4579 0.0967 0.6326
43 O 0.1767 0.2002 0.4195
44 La 0.9940 0.0012 0.3558
45 O 0.5059 0.8650 0.3619
46 O 0.1439 0.4576 0.9664
47 O 0.6546 0.5280 0.2455
48 O 0.6873 0.1326 0.7514
49 O 0.4726 0.3116 0.0328
50 O 0.8385 0.5410 0.7509
51 O 0.7843 0.8038 0.1989
52 S 0.6668 0.0305 0.0786
53 O 0.8680 0.3533 0.9226
54 Zr 0.3397 0.6620 0.3169
55 O 0.7923 0.9721 0.7013
56 O 0.3412 0.4947 0.0702
57 Si 0.6149 0.9578 0.4194
58 S 0.2918 0.9895 0.2484
59 O 0.1930 0.0166 0.5843
60 O 0.0254 0.1939 0.1993
61 Zr 0.3373 0.6591 0.0179
62 O 0.8431 0.3290 0.2495
63 O 0.1808 0.7074 0.7588
64 S 0.6712 0.6366 0.5818
65 O 0.3065 0.8374 0.2522
66 O 0.5212 0.8602 0.0686
67 O 0.3365 0.8601 0.5714
68 O 0.1438 0.6693 0.4701
69 O 0.8462 0.3113 0.5258
70 O 0.5252 0.6885 0.9673
71 S 0.6939 0.7042 0.2484
72 S 0.0436 0.6539 0.4197
73 O 0.6851 0.5411 0.5345
74 O 0.7902 0.7750 0.3009
75 Zr 0.6633 0.3599 0.9833
76 Na 0.9692 0.2884 0.4178
77 O 0.1876 0.4878 0.2540
78 Na 0.3042 0.6515 0.1631
79 Na 0.6737 0.3204 0.3306
80 La 0.6924 0.3470 0.1753
81 O 0.3225 0.4836 0.4693
82 Zr 0.3219 0.6528 0.8135
83 O 0.8056 0.9888 0.4223
84 O 0.5095 0.8510 0.4733
85 O 0.1638 0.6791 0.0634
86 O 0.4569 0.3650 0.1454
87 O 0.1576 0.4968 0.5729
88 O 0.6324 0.0880 0.1316
89 O 0.1775 0.1657 0.0867
90 Si 0.3479 0.3821 0.4181
91 Si 0.3672 0.3363 0.0848
92 O 0.4928 0.1271 0.9218
93 O 0.8156 0.8395 0.9100
94 Si 0.9786 0.6485 0.0802
95 O 0.3621 0.4895 0.3597
96 O 0.3528 0.8736 0.8655
97 O 0.1190 0.4791 0.8658
98 O 0.6384 0.5441 0.6352
99 O 0.8426 0.5376 0.0285
100 Si 0.6261 0.6724 0.9145
101 O 0.5269 0.6987 0.2523
102 O 0.1875 0.9797 0.9111
103 Si 0.0113 0.7230 0.7505
104 S 0.3620 0.0289 0.5808
105 La 0.6814 0.3367 0.6857
106 O 0.8938 0.3612 0.6374
107 O 0.8214 0.0156 0.0854
108 O 0.5236 0.6617 0.5733
109 O 0.8135 0.0040 0.8038
110 O 0.9826 0.1587 0.5873
111 O 0.4521 0.1425 0.5321

[2]
Density functional theory data (PBE-GGA) for a relaxed structure of KY.

**Size of the total moment**: 0.0 μB/f.u.

Unit cell a=3.6698 b=3.6700 c=7.1673 alpha=90.00 beta=90.00 gamma=120.02
Fractional positions:
1 Y 0.3333 0.6667 0.2500
2 K 0.6667 0.3333 0.7500

[3]
Density functional theory data (PBE-GGA) for a relaxed structure of TiNi2Sn.

**Size of the total moment**: 0.0 μB/f.u.

Unit cell a=3.1988 b=3.1988 c=5.8289 alpha=90.00 beta=90.00 gamma=90.00
Fractional positions:
1 Ni 0.5000 0.5000 0.7148
2 Ni 0.5000 0.5000 0.2852
3 Ti 0.0000 0.0000 0.5000
4 Sn 0.0000 0.0000 0.0000

[4]
Density functional theory data (PBE-GGA) for a relaxed structure of BiB3O6.

**Distance to the lowest polymorph of the same formula**: 0.14 kcal/mol of atoms
**MP2020-corrected energy**: -79.3 eV per formula unit
**Size of the total moment**: 0.0 μB/f.u.

Unit cell a=4.3767 b=4.4225 c=6.6908 alpha=82.23 beta=77.33 gamma=69.69
Fractional positions:
1 O 0.3107 0.3327 0.5040
2 B 0.7176 0.7432 0.7381
3 O 0.5931 0.6364 0.6056
4 O 0.8260 0.5844 0.9154
5 O 0.4028 0.1830 0.1510
6 B 0.6243 0.3202 0.5483
7 O 0.9012 0.2268 0.3646
8 Bi 0.9251 0.0806 0.0215
9 B 0.2220 0.2444 0.3465
10 O 0.7114 0.0668 0.7210

[5]
Density functional theory data (PBE-GGA) for a relaxed structure of Na5Ca2Hf2P5SO24.

**MP2020-corrected energy**: -295.1 eV per formula unit
**Size of the total moment**: 0.0 μB/f.u.

Unit cell a=9.1699 b=9.1709 c=22.9073 alpha=90.05 beta=89.90 gamma=119.90
Fractional positions:
1 O 0.8424 0.5324 0.0332
2 O 0.8989 0.5439 0.1425
3 O 0.4492 0.0836 0.6436
4 O 0.9852 0.1676 0.5877
5 Hf 0.3253 0.6684 0.8193
6 O 0.7913 0.9655 0.6955
7 Na 0.7072 0.6790 0.4188
8 O 0.2972 0.4759 0.7556
9 O 0.7997 0.7833 0.3085
10 O 0.1738 0.2079 0.6952
11 O 0.2984 0.8407 0.2470
12 Na 0.6665 0.3268 0.8344
13 P 0.9767 0.3327 0.5860
14 Na 0.0315 0.3494 0.0739
15 O 0.6478 0.1480 0.4312
16 O 0.3329 0.8820 0.9766
17 O 0.6312 0.5470 0.6407
18 O 0.1419 0.6640 0.0772
19 Na 0.6448 0.0045 0.2529
20 O 0.4661 0.1570 0.5362
21 S 0.2888 0.9983 0.2472
22 Ca 0.9996 0.0041 0.3576
23 P 0.7055 0.7065 0.2518
24 Na 0.3735 0.3784 0.2432
25 Hf 0.9875 0.9948 0.1438
26 P 0.6994 0.9917 0.7500
27 O 0.1304 0.4889 0.8658
28 O 0.6674 0.1400 0.7416
29 O 0.8071 0.0244 0.8034
30 O 0.3232 0.4661 0.0788
31 O 0.0098 0.1958 0.1907
32 O 0.2060 0.0134 0.2992
33 O 0.5205 0.6381 0.8618
34 O 0.0810 0.6320 0.3577
35 O 0.1926 0.9971 0.9142
36 Ca 0.6682 0.3340 0.6741
37 O 0.5118 0.1499 0.9216
38 P 0.3591 0.0301 0.5855
39 O 0.7963 0.7961 0.9099
40 P 0.3438 0.9738 0.9205
41 O 0.1448 0.6585 0.4662
42 O 0.4609 0.1461 0.2450
43 P 0.6698 0.0390 0.0855
44 O 0.1767 0.7033 0.7567
45 Na 0.9885 0.6180 0.2519
46 P 0.9631 0.6354 0.0846
47 O 0.5235 0.8219 0.7560
48 P 0.2932 0.3009 0.7490
49 O 0.8601 0.5273 0.7411
50 O 0.9706 0.7814 0.8035
51 P 0.6667 0.6409 0.5832
52 Hf 0.3296 0.6734 0.5180
53 O 0.7952 0.9742 0.4236
54 P 0.0029 0.2940 0.2474
55 Hf 0.6731 0.3283 0.4904
56 P 0.0255 0.3704 0.9201
57 Hf 0.6679 0.3323 0.9818
58 O 0.6797 0.5272 0.2474
59 O 0.8153 0.8203 0.1983
60 O 0.8528 0.3702 0.9213
61 O 0.4737 0.3346 0.7403
62 O 0.5341 0.7017 0.2477
63 O 0.0047 0.8118 0.4240
64 P 0.3619 0.3238 0.0863
65 O 0.5049 0.3643 0.4293
66 O 0.0335 0.8255 0.6956
67 O 0.4458 0.3423 0.1451
68 O 0.1655 0.4691 0.2455
69 O 0.5485 0.6720 0.9679
70 O 0.5191 0.8651 0.0772
71 O 0.5465 0.9161 0.3571
72 Ca 0.6693 0.3395 0.1791
73 O 0.8471 0.3107 0.5370
74 O 0.5160 0.6685 0.5685
75 O 0.1904 0.9904 0.1932
76 P 0.0050 0.7079 0.7499
77 O 0.3316 0.8514 0.5705
78 O 0.6310 0.4919 0.9182
79 Na 0.0025 0.0007 0.9867
80 O 0.9919 0.1913 0.3006
81 O 0.4676 0.3057 0.0353
82 O 0.5072 0.8420 0.4642
83 O 0.8406 0.0350 0.0857
84 O 0.9214 0.3688 0.6440
85 Na 0.3358 0.6646 0.6631
86 O 0.8312 0.8159 0.5870
87 Hf 0.9985 0.9989 0.6466
88 O 0.8441 0.3130 0.2468
89 O 0.1839 0.0179 0.5874
90 Ca 0.3281 0.6697 0.3208
91 Na 0.3075 0.9634 0.0715
92 Ca 0.0054 0.0058 0.8525
93 O 0.8428 0.4972 0.4293
94 Na 0.3497 0.6594 0.1593
95 Ca 0.3375 0.6648 0.0146
96 O 0.3720 0.4621 0.3638
97 O 0.9759 0.8131 0.0863
98 Na 0.6462 0.6327 0.7447
99 O 0.9944 0.1933 0.9132
100 O 0.3352 0.4771 0.4679
101 S 0.6271 0.6543 0.9153
102 O 0.6492 0.1077 0.1434
103 Na 0.3674 0.0186 0.7455
104 O 0.3608 0.8714 0.8659
105 O 0.2213 0.1927 0.8027
106 O 0.6952 0.1659 0.0345
107 O 0.1530 0.4821 0.5701
108 O 0.1992 0.2063 0.4218
109 P 0.6268 0.9711 0.4178
110 P 0.0233 0.6550 0.4183
111 Na 0.9834 0.3484 0.7456
112 O 0.1881 0.1503 0.0860
113 Na 0.6899 0.3274 0.3375
114 Na 0.0038 0.0021 0.5014
115 O 0.1187 0.4468 0.9764
116 O 0.6896 0.5391 0.5322
117 S 0.3472 0.3739 0.4203

[6]
Density functional theory data (PBE-GGA) for a relaxed structure of Eu2PI.

**MP2020-corrected energy**: -33.6 eV per formula unit

Unit cell a=4.4004 b=4.4004 c=8.0901 alpha=74.22 beta=74.22 gamma=60.00
Fractional positions:
1 P 0.5000 0.5000 0.5000
2 Eu 0.2322 0.2322 0.3033
3 Eu 0.7678 0.7678 0.6967
4 I 0.0000 0.0000 0.0000

[7]
Density functional theory data (PBE-GGA) for a relaxed structure of Na11TiNb2Si4P2O24F2.

**MP2020-corrected energy**: -329.4 eV per formula unit
**Size of the total moment**: 1.0 μB/f.u.

Unit cell a=5.6172 b=7.2860 c=14.7067 alpha=92.81 beta=95.62 gamma=90.65
Fractional positions:
1 O 0.1582 0.8043 0.5738
2 Na 0.4971 0.2438 0.5015
3 F 0.2763 0.0024 0.4244
4 Nb 0.2977 0.4917 0.2832
5 O 0.5645 0.6763 0.2585
6 Si 0.8138 0.7803 0.3031
7 O 0.5384 0.2866 0.2827
8 Na 0.5029 0.7562 0.4985
9 O 0.4355 0.3237 0.7415
10 O 0.4160 0.7430 0.9436
11 Si 0.7992 0.2050 0.3152
12 Na 0.7103 0.9892 0.7358
13 Na 0.0000 0.5000 0.5000
14 O 0.7962 0.9935 0.2655
15 O 0.1678 0.2732 0.9712
16 Na 0.8160 0.0191 0.1006
17 Nb 0.7023 0.5083 0.7168
18 O 0.0128 0.3129 0.2723
19 O 0.5840 0.2570 0.0564
20 O 0.2557 0.4301 0.1298
21 Na 0.1840 0.9809 0.8994
22 O 0.8322 0.7268 0.0288
23 Si 0.2008 0.7950 0.6848
24 O 0.2343 0.0746 0.1084
25 O 0.7443 0.5699 0.8702
26 Na 0.2462 0.7355 0.0785
27 O 0.8418 0.1957 0.4262
28 O 0.7657 0.9254 0.8916
29 Na 0.7538 0.2645 0.9215
30 Na 0.1978 0.5064 0.8667
31 O 0.0462 0.6962 0.2553
32 O 0.4616 0.7134 0.7173
33 O 0.6821 0.4845 0.5934
34 F 0.7237 0.9976 0.5756
35 P 0.6887 0.7442 0.9336
36 O 0.9538 0.3038 0.7447
37 O 0.3179 0.5155 0.4066
38 O 0.1603 0.2069 0.5856
39 Si 0.1862 0.2197 0.6969
40 Na 0.2897 0.0108 0.2642
41 P 0.3113 0.2558 0.0664
42 Ti 0.0000 0.0000 0.5000
43 Na 0.8022 0.4936 0.1333
44 O 0.8397 0.7931 0.4144
45 O 0.2038 0.0065 0.7345
46 O 0.9872 0.6871 0.7277

[8]
Density functional theory data (PBE-GGA) for a relaxed structure of Sb2I2F11.

**MP2020-corrected energy**: -66.3 eV per formula unit

Unit cell a=8.0098 b=8.0098 c=5.5834 alpha=79.40 beta=79.40 gamma=64.82
Fractional positions:
1 Sb 0.3482 0.3573 0.4534
2 F 0.5127 0.1660 0.6607
3 F 0.2226 0.2090 0.4112
4 I 0.0643 0.0743 0.1314
5 F 0.7910 0.7774 0.5888
6 F 0.1831 0.4498 0.7360
7 F 0.8340 0.4873 0.3393
8 F 0.2015 0.5719 0.2558
9 F 0.5291 0.2784 0.1798
10 F 0.4810 0.5190 0.5000
11 Sb 0.6427 0.6518 0.5466
12 F 0.5502 0.8169 0.2640
13 F 0.4281 0.7985 0.7442
14 F 0.7216 0.4709 0.8202
15 I 0.9257 0.9357 0.8686

Number 1: uncorrected energy -814.73 eV for the cell shown. Number 2: uncorrected energy -6.58 eV for the cell shown. Number 3: uncorrected energy -24.78 eV for the cell shown. Number 4: uncorrected energy -75.20 eV for the cell shown. Number 5: uncorrected energy -835.90 eV for the cell shown. Number 6: uncorrected energy -33.20 eV for the cell shown. Number 7: uncorrected energy -312.01 eV for the cell shown. Number 8: uncorrected energy -61.19 eV for the cell shown.